(1)
K2YHgBr6: optimized geometry, PBE-GGA. Values from VASP.

The structure in Quantum ESPRESSO input format:
```
&SYSTEM
  ibrav = 0, nat = 10, ntyp = 4
/
ATOMIC_SPECIES
K 39.10 K.upf
Y 88.91 Y.upf
Hg 200.59 Hg.upf
Br 79.90 Br.upf
ATOMIC_POSITIONS crystal
K 0.750 0.750 0.750
K 0.250 0.250 0.250
Y 0.000 0.000 0.000
Hg 0.500 0.500 0.500
Br 0.760 0.240 0.240
Br 0.240 0.240 0.760
Br 0.240 0.760 0.760
Br 0.240 0.760 0.240
Br 0.760 0.240 0.760
Br 0.760 0.760 0.240
CELL_PARAMETERS angstrom
-4.552 2.544 6.387
-8.115 -1.454 0.117
-3.126 -5.503 5.285
```

Values from the calculation:
E = -3.299 eV/atom
symmetry = Fm-3m (225)
DFT formation energy = -1738 meV per atom

***

(2)
PrCd11: optimized geometry, PBE-GGA. Values from VASP.

The structure in Quantum ESPRESSO input format:
```
&SYSTEM
  ibrav = 0, nat = 36, ntyp = 2
/
ATOMIC_SPECIES
Pr 140.91 Pr.upf
Cd 112.41 Cd.upf
ATOMIC_POSITIONS crystal
Pr 0.000 0.000 0.500
Pr 0.000 0.500 0.000
Pr 0.500 0.000 0.000
Cd 0.500 0.500 0.500
Cd 0.155 0.155 0.845
Cd 0.155 0.845 0.155
Cd 0.845 0.155 0.155
Cd 0.845 0.845 0.845
Cd 0.845 0.845 0.155
Cd 0.845 0.155 0.845
Cd 0.155 0.845 0.845
Cd 0.155 0.155 0.155
Cd 0.345 0.345 0.000
Cd 0.345 0.000 0.655
Cd 0.000 0.345 0.655
Cd 0.345 0.655 0.000
Cd 0.345 0.000 0.345
Cd 0.000 0.655 0.345
Cd 0.655 0.345 0.000
Cd 0.655 0.000 0.345
Cd 0.000 0.345 0.345
Cd 0.655 0.655 0.000
Cd 0.655 0.000 0.655
Cd 0.000 0.655 0.655
Cd 0.265 0.265 0.500
Cd 0.265 0.500 0.735
Cd 0.500 0.265 0.735
Cd 0.265 0.735 0.500
Cd 0.265 0.500 0.265
Cd 0.500 0.735 0.265
Cd 0.735 0.265 0.500
Cd 0.735 0.500 0.265
Cd 0.500 0.265 0.265
Cd 0.735 0.735 0.500
Cd 0.735 0.500 0.735
Cd 0.500 0.735 0.735
CELL_PARAMETERS angstrom
-6.103 -0.401 -7.227
-7.137 -1.246 6.096
-1.209 9.377 0.500
```

Values from the calculation:
E = -1.391 eV/atom
symmetry = Pm-3m (221)
DFT formation energy = -147 meV per atom

***

(3)
Mg6TiFe: optimized geometry, PBE-GGA. Values from VASP.

The structure in Quantum ESPRESSO input format:
```
&SYSTEM
  ibrav = 0, nat = 16, ntyp = 3
/
ATOMIC_SPECIES
Mg 24.30 Mg.upf
Ti 47.87 Ti.upf
Fe 55.84 Fe.upf
ATOMIC_POSITIONS crystal
Mg 0.500 0.251 0.424
Mg 0.500 0.749 0.424
Mg 0.000 0.755 0.085
Mg 0.000 0.245 0.085
Mg 0.000 0.000 0.312
Mg 0.000 0.500 0.325
Mg 0.500 0.751 0.924
Mg 0.500 0.249 0.924
Mg 0.000 0.255 0.585
Mg 0.000 0.745 0.585
Mg 0.000 0.500 0.812
Mg 0.000 0.000 0.825
Ti 0.500 0.500 0.175
Ti 0.500 0.000 0.675
Fe 0.500 0.000 0.171
Fe 0.500 0.500 0.671
CELL_PARAMETERS angstrom
4.814 0.000 0.000
0.000 5.724 0.000
0.000 0.000 10.812
```

Values from the calculation:
E = -3.021 eV/atom
distance to the lowest polymorph of the same formula = 60 meV/atom
DFT formation energy = 225 meV per atom

***

(4)
MgAl2As2H18O18: optimized geometry, PBE-GGA. Values from VASP.

The structure in Quantum ESPRESSO input format:
```
&SYSTEM
  ibrav = 0, nat = 41, ntyp = 5
/
ATOMIC_SPECIES
Mg 24.30 Mg.upf
Al 26.98 Al.upf
As 74.92 As.upf
H 1.01 H.upf
O 16.00 O.upf
ATOMIC_POSITIONS crystal
Mg 0.500 0.000 0.500
Al 0.000 0.500 0.000
Al 0.000 0.000 0.000
As 0.483 0.074 0.834
As 0.517 0.926 0.166
H 0.905 0.311 0.170
H 0.095 0.689 0.830
H 0.022 0.005 0.622
H 0.978 0.995 0.378
H 0.835 0.506 0.220
H 0.165 0.494 0.780
H 0.559 0.589 0.762
H 0.441 0.411 0.238
H 0.689 0.400 0.453
H 0.311 0.600 0.547
H 0.805 0.408 0.605
H 0.195 0.592 0.395
H 0.410 0.352 0.686
H 0.590 0.648 0.314
H 0.805 0.945 0.705
H 0.195 0.055 0.295
H 0.682 0.671 0.008
H 0.318 0.329 0.992
O 0.871 0.716 0.005
O 0.129 0.284 0.995
O 0.694 0.938 0.847
O 0.306 0.062 0.153
O 0.628 0.317 0.936
O 0.372 0.683 0.064
O 0.194 0.936 0.876
O 0.806 0.064 0.124
O 0.389 0.093 0.672
O 0.611 0.907 0.328
O 0.973 0.468 0.183
O 0.027 0.532 0.817
O 0.394 0.491 0.696
O 0.606 0.509 0.304
O 0.826 0.959 0.614
O 0.174 0.041 0.386
O 0.735 0.317 0.516
O 0.265 0.683 0.484
CELL_PARAMETERS angstrom
5.457 0.000 0.000
-2.392 6.618 0.000
-2.139 -2.303 10.067
```

Values from the calculation:
E = -5.520 eV/atom
symmetry = P-1 (2)
DFT formation energy = -1711 meV per atom

***

Among the records above, which one has the highest DFT formation energy? Mg6TiFe

***

E of number 2 (PrCd11)? -1.391 eV/atom

***

Which of these has the highest E? PrCd11